The following is a DFT calculation (PBE) of an optimized crystal structure of GeP.

Cell: 4.048 4.048 4.048 Å, 60.00 60.00 60.00°
Element x y z (fractional)
Ge (0.000, 0.000, 0.000)
P (0.250, 0.250, 0.250)

Calculated values
formation energy from the elements = 0.27 eV per atom

The following is a DFT calculation (PBE) of an optimized crystal structure of Dy2ZnCuSi2.

Cell: 4.015 4.075 7.057 Å, 90.08 90.00 90.00°
Element x y z (fractional)
Dy (0.000, 0.500, 0.497)
Dy (0.000, 0.000, 0.003)
Si (0.500, 0.500, 0.173)
Si (0.500, 0.000, 0.660)
Zn (0.500, 0.500, 0.835)
Cu (0.500, 0.000, 0.332)

Calculated values
formation energy from the elements = -0.61 eV per atom

The following is a DFT calculation (PBE) of an optimized crystal structure of Cs2NaAuF6.

Cell: 6.419 6.419 6.419 Å, 60.00 60.00 60.00°
Element x y z (fractional)
F (0.761, 0.239, 0.761)
F (0.761, 0.761, 0.239)
F (0.239, 0.761, 0.239)
F (0.239, 0.239, 0.761)
F (0.761, 0.239, 0.239)
F (0.239, 0.761, 0.761)
Au (0.000, 0.000, 0.000)
Na (0.500, 0.500, 0.500)
Cs (0.250, 0.250, 0.250)
Cs (0.750, 0.750, 0.750)

Calculated values
formation energy from the elements = -2.34 eV per atom

The following is a DFT calculation (PBE) of an optimized crystal structure of Na3Ca.

Cell: 7.639 7.639 5.999 Å, 90.00 90.00 120.00°
Element x y z (fractional)
Na (0.838, 0.162, 0.750)
Na (0.162, 0.838, 0.250)
Na (0.162, 0.323, 0.250)
Na (0.323, 0.162, 0.750)
Na (0.677, 0.838, 0.250)
Na (0.838, 0.677, 0.750)
Ca (0.667, 0.333, 0.250)
Ca (0.333, 0.667, 0.750)

Calculated values
formation energy from the elements = 0.07 eV per atom

Question: Look up the formation energy from the elements of the third one.
Answer: -2.34 eV per atom

Question: Among the records above, which one has the highest formation energy from the elements?
Answer: GeP